1.
{"formula": "Eu2ZnCd", "functional": "PBE", "state": "relaxed", "cell": [[0.0000, 3.9024, 3.9024], [3.9024, 0.0000, 3.9024], [3.9024, 3.9024, 0.0000]], "species": ["Eu", "Eu", "Zn", "Cd"], "frac_coords": [[0.2500, 0.2500, 0.2500], [0.7500, 0.7500, 0.7500], [0.0000, 0.0000, 0.0000], [0.5000, 0.5000, 0.5000]], "formation_enthalpy_0k_ev_per_atom": -0.304}

2.
{"formula": "CdF2", "functional": "PBE", "state": "relaxed", "cell": [[0.0000, 2.7463, 2.7463], [2.7463, 0.0000, 2.7463], [2.7463, 2.7463, 0.0000]], "species": ["Cd", "F", "F"], "frac_coords": [[0.0000, 0.0000, 0.0000], [0.2500, 0.2500, 0.2500], [0.7500, 0.7500, 0.7500]], "formation_enthalpy_0k_ev_per_atom": -2.479}